# 1
Below is crystalline Eu2B5Os3 at its relaxed geometry, with properties calculated at the GGA-PBE level.

Structure (POSCAR):
```
Eu2B5Os3
1.0
5.372 -2.037 0.000
5.372 2.037 0.000
-4.633 0.000 6.615
Eu B Os
2 5 3
Cartesian
0.530 0.000 1.750
5.581 0.000 4.866
-2.199 -0.008 5.374
5.372 0.024 0.000
3.314 -0.911 2.509
2.797 -0.911 4.107
8.310 -0.008 1.241
3.056 1.151 3.308
3.497 0.058 0.632
2.615 0.058 5.984
```

Summary:
**Symmetry**: No. 5
**ΔE_f**: -0.40 eV/atom
**E_tot**: -91.56 eV for the cell shown
**Volume**: 14.5 A^3/atom

---

# 2
Below is crystalline Gd2TiO5 at its relaxed geometry, with properties calculated at the GGA-PBE level.

Structure (POSCAR):
```
Gd2TiO5
1.0
7.552 0.000 0.000
0.000 3.679 0.000
0.000 0.000 15.739
Gd Ti O
8 4 20
Cartesian
0.837 0.920 1.285
1.166 0.920 11.629
2.610 2.759 3.760
2.939 2.759 9.155
4.612 0.920 6.584
4.942 0.920 11.979
6.386 2.759 4.110
6.715 2.759 14.454
0.874 0.920 6.661
2.902 2.759 14.531
4.650 0.920 1.208
6.678 2.759 9.078
0.581 2.759 2.724
0.583 2.759 7.129
0.865 2.759 10.204
1.209 2.759 15.631
1.862 0.920 5.109
1.914 2.759 12.978
2.567 0.920 7.762
2.911 0.920 2.335
3.194 0.920 10.593
3.192 0.920 14.999
4.359 2.759 0.740
4.357 2.759 5.146
4.640 2.759 13.404
4.985 2.759 7.977
5.638 0.920 2.761
5.689 2.759 10.630
6.343 0.920 0.108
6.687 0.920 5.535
6.968 0.920 8.610
6.970 0.920 13.015
```

Summary:
**Symmetry**: No. 62
**Magnetic moment**: 14.000 μB/f.u.
**ΔE_f**: -3.77 eV/atom
**E_tot**: -350.04 eV for the cell shown
**Volume**: 13.7 A^3/atom